# 1
First-principles (PBE with a Hubbard U) data for a relaxed structure of Li4V3Ni2Sn3O16, as listed in the Materials Project.

## Properties
The corrected total energy (MP2020 scheme) is -7.0186 eV/atom. The calculation puts the total magnetization at 7.00 μB/cell. The value obtained for the formation energy from the elements is -58.88 eV/f.u. For the energy above the most stable polymorph in this dataset, the calculation gives 0.0158 eV per atom.

CIF file:
```
data_Li4V3Ni2Sn3O16
_chemical_formula_sum 'Li4 V3 Ni2 Sn3 O16'
_cell_length_a 6.072
_cell_length_b 6.003
_cell_length_c 9.700
_cell_angle_alpha 90.12
_cell_angle_beta 89.13
_cell_angle_gamma 119.77
_symmetry_space_group_name_H-M 'P 1'
_symmetry_Int_Tables_number 1
loop_
_symmetry_equiv_pos_as_xyz
'x,y,z'
loop_
_atom_site_label
_atom_site_type_symbol
_atom_site_fract_x
_atom_site_fract_y
_atom_site_fract_z
O1 O 0.145 0.824 0.604
O2 O 0.349 0.674 0.097
O3 O 0.541 0.047 0.835
O4 O 0.823 0.674 0.107
O5 O 0.820 0.144 0.108
O6 O 0.966 0.487 0.832
O7 O 0.144 0.323 0.605
O8 O 0.495 0.532 0.336
O9 O 0.985 0.993 0.811
O10 O 0.311 0.155 0.091
O11 O 0.679 0.340 0.600
O12 O 0.493 0.963 0.337
O13 O 0.686 0.846 0.618
O14 O 0.036 0.517 0.345
O15 O 0.983 0.992 0.319
O16 O 0.540 0.496 0.834
Ni1 Ni 0.338 0.670 0.487
Ni2 Ni 0.669 0.336 0.985
V1 V 0.833 0.176 0.711
V2 V 0.840 0.653 0.715
V3 V 0.665 0.831 0.211
Sn1 Sn 0.174 0.834 0.216
Sn2 Sn 0.338 0.171 0.716
Sn3 Sn 0.172 0.339 0.215
Li1 Li 0.976 0.986 0.994
Li2 Li 0.981 0.990 0.502
Li3 Li 0.346 0.674 0.888
Li4 Li 0.671 0.334 0.394
```

***

# 2
First-principles (PBE with a Hubbard U) data for a relaxed structure of Sr2Li2NiO4, as listed in the Materials Project.

## Properties
The corrected total energy (MP2020 scheme) is -5.8756 eV/atom. The calculation puts the total magnetization at 0.00 μB/cell. The value obtained for the formation energy from the elements is -20.11 eV/f.u.

CIF file:
```
data_Sr2Li2NiO4
_chemical_formula_sum 'Sr8 Li8 Ni4 O16'
_cell_length_a 5.460
_cell_length_b 11.249
_cell_length_c 8.652
_cell_angle_alpha 67.70
_cell_angle_beta 101.23
_cell_angle_gamma 98.65
_symmetry_space_group_name_H-M 'P 1'
_symmetry_Int_Tables_number 1
loop_
_symmetry_equiv_pos_as_xyz
'x,y,z'
loop_
_atom_site_label
_atom_site_type_symbol
_atom_site_fract_x
_atom_site_fract_y
_atom_site_fract_z
Sr1 Sr 0.827 0.776 0.305
Sr2 Sr 0.173 0.724 0.695
Sr3 Sr 0.722 0.627 0.973
Sr4 Sr 0.827 0.276 0.305
Sr5 Sr 0.173 0.224 0.695
Sr6 Sr 0.278 0.873 0.027
Sr7 Sr 0.722 0.127 0.973
Sr8 Sr 0.278 0.373 0.027
Li1 Li 0.414 0.851 0.412
Li2 Li 0.586 0.649 0.588
Li3 Li 0.801 0.463 0.455
Li4 Li 0.199 0.037 0.545
Li5 Li 0.199 0.537 0.545
Li6 Li 0.801 0.963 0.455
Li7 Li 0.414 0.351 0.412
Li8 Li 0.586 0.149 0.588
O1 O 0.579 0.979 0.238
O2 O 0.124 0.919 0.425
O3 O 0.801 0.844 0.004
O4 O 0.579 0.479 0.238
O5 O 0.199 0.156 0.996
O6 O 0.876 0.581 0.575
O7 O 0.346 0.199 0.356
O8 O 0.876 0.081 0.575
O9 O 0.654 0.801 0.644
O10 O 0.199 0.656 0.996
O11 O 0.421 0.021 0.762
O12 O 0.421 0.521 0.762
O13 O 0.346 0.699 0.356
O14 O 0.801 0.344 0.004
O15 O 0.124 0.419 0.424
O16 O 0.654 0.301 0.644
Ni1 Ni 0.709 0.430 0.755
Ni2 Ni 0.709 0.930 0.755
Ni3 Ni 0.291 0.070 0.245
Ni4 Ni 0.291 0.570 0.245
```

***

# 3
First-principles (PBE with a Hubbard U) data for a relaxed structure of SrLi4NiO4, as listed in the Materials Project.

## Properties
The corrected total energy (MP2020 scheme) is -5.4898 eV/atom. The calculation puts the total magnetization at 16.00 μB/cell. The value obtained for the formation energy from the elements is -20.00 eV/f.u. For the energy above the most stable polymorph in this dataset, the calculation gives 0.0095 eV per atom.

CIF file:
```
data_SrLi4NiO4
_chemical_formula_sum 'Sr8 Li32 Ni8 O32'
_cell_length_a 14.642
_cell_length_b 5.695
_cell_length_c 11.158
_cell_angle_alpha 73.46
_cell_angle_beta 90.00
_cell_angle_gamma 90.00
_symmetry_space_group_name_H-M 'P 1'
_symmetry_Int_Tables_number 1
loop_
_symmetry_equiv_pos_as_xyz
'x,y,z'
loop_
_atom_site_label
_atom_site_type_symbol
_atom_site_fract_x
_atom_site_fract_y
_atom_site_fract_z
Ni1 Ni 0.977 0.356 0.295
Ni2 Ni 0.477 0.644 0.205
Ni3 Ni 0.721 0.186 0.631
Ni4 Ni 0.779 0.186 0.131
Ni5 Ni 0.523 0.356 0.795
Ni6 Ni 0.023 0.644 0.705
Ni7 Ni 0.279 0.814 0.369
Ni8 Ni 0.221 0.814 0.869
O1 O 0.535 0.002 0.863
O2 O 0.798 0.535 0.042
O3 O 0.135 0.459 0.678
O4 O 0.107 0.980 0.916
O5 O 0.573 0.548 0.102
O6 O 0.517 0.469 0.371
O7 O 0.202 0.465 0.958
O8 O 0.184 0.959 0.442
O9 O 0.635 0.541 0.822
O10 O 0.365 0.459 0.178
O11 O 0.073 0.452 0.398
O12 O 0.465 0.998 0.137
O13 O 0.237 0.970 0.194
O14 O 0.017 0.531 0.129
O15 O 0.393 0.980 0.416
O16 O 0.607 0.020 0.584
O17 O 0.702 0.535 0.542
O18 O 0.927 0.548 0.602
O19 O 0.983 0.469 0.871
O20 O 0.483 0.531 0.629
O21 O 0.298 0.465 0.458
O22 O 0.965 0.002 0.363
O23 O 0.684 0.041 0.058
O24 O 0.263 0.970 0.694
O25 O 0.316 0.959 0.942
O26 O 0.816 0.041 0.558
O27 O 0.893 0.020 0.084
O28 O 0.737 0.030 0.306
O29 O 0.865 0.541 0.322
O30 O 0.763 0.030 0.806
O31 O 0.427 0.452 0.898
O32 O 0.035 0.998 0.637
Li1 Li 0.333 0.541 0.995
Li2 Li 0.389 0.337 0.369
Li3 Li 0.773 0.881 0.983
Li4 Li 0.425 0.621 0.474
Li5 Li 0.526 0.657 0.924
Li6 Li 0.474 0.343 0.076
Li7 Li 0.273 0.119 0.517
Li8 Li 0.667 0.459 0.005
Li9 Li 0.075 0.621 0.974
Li10 Li 0.026 0.343 0.576
Li11 Li 0.132 0.106 0.721
Li12 Li 0.071 0.076 0.459
Li13 Li 0.329 0.813 0.118
Li14 Li 0.111 0.337 0.869
Li15 Li 0.575 0.379 0.526
Li16 Li 0.632 0.894 0.779
Li17 Li 0.671 0.187 0.882
Li18 Li 0.727 0.881 0.483
Li19 Li 0.929 0.924 0.541
Li20 Li 0.829 0.187 0.382
Li21 Li 0.889 0.663 0.131
Li22 Li 0.429 0.076 0.959
Li23 Li 0.167 0.541 0.495
Li24 Li 0.227 0.119 0.017
Li25 Li 0.974 0.657 0.424
Li26 Li 0.611 0.663 0.631
Li27 Li 0.571 0.924 0.041
Li28 Li 0.925 0.379 0.026
Li29 Li 0.868 0.894 0.279
Li30 Li 0.171 0.813 0.618
Li31 Li 0.833 0.459 0.505
Li32 Li 0.368 0.106 0.221
Sr1 Sr 0.443 0.920 0.666
Sr2 Sr 0.700 0.636 0.244
Sr3 Sr 0.200 0.364 0.256
Sr4 Sr 0.943 0.080 0.834
Sr5 Sr 0.300 0.364 0.756
Sr6 Sr 0.800 0.636 0.744
Sr7 Sr 0.557 0.080 0.334
Sr8 Sr 0.057 0.920 0.166
```

***

# 4
First-principles (PBE with a Hubbard U) data for a relaxed structure of SrLi4NiO4, as listed in the Materials Project.

## Properties
The corrected total energy (MP2020 scheme) is -5.4992 eV/atom. The calculation puts the total magnetization at 16.00 μB/cell. The value obtained for the formation energy from the elements is -20.10 eV/f.u. For the energy above the most stable polymorph in this dataset, the calculation gives 0.0000 eV per atom.

CIF file:
```
data_SrLi4NiO4
_chemical_formula_sum 'Sr8 Li32 Ni8 O32'
_cell_length_a 5.170
_cell_length_b 9.593
_cell_length_c 17.879
_cell_angle_alpha 90.00
_cell_angle_beta 90.00
_cell_angle_gamma 90.00
_symmetry_space_group_name_H-M 'P 1'
_symmetry_Int_Tables_number 1
loop_
_symmetry_equiv_pos_as_xyz
'x,y,z'
loop_
_atom_site_label
_atom_site_type_symbol
_atom_site_fract_x
_atom_site_fract_y
_atom_site_fract_z
Li1 Li 0.907 0.954 0.783
Li2 Li 0.093 0.546 0.283
Li3 Li 0.308 0.147 0.592
Li4 Li 0.227 0.312 0.310
Li5 Li 0.093 0.046 0.217
Li6 Li 0.227 0.812 0.190
Li7 Li 0.273 0.312 0.810
Li8 Li 0.773 0.188 0.810
Li9 Li 0.593 0.454 0.217
Li10 Li 0.273 0.812 0.690
Li11 Li 0.692 0.353 0.092
Li12 Li 0.508 0.670 0.319
Li13 Li 0.727 0.688 0.190
Li14 Li 0.727 0.188 0.310
Li15 Li 0.192 0.647 0.408
Li16 Li 0.192 0.147 0.092
Li17 Li 0.492 0.330 0.681
Li18 Li 0.308 0.647 0.908
Li19 Li 0.992 0.670 0.819
Li20 Li 0.492 0.830 0.819
Li21 Li 0.008 0.330 0.181
Li22 Li 0.907 0.454 0.717
Li23 Li 0.593 0.954 0.283
Li24 Li 0.508 0.170 0.181
Li25 Li 0.773 0.688 0.690
Li26 Li 0.407 0.546 0.783
Li27 Li 0.808 0.853 0.908
Li28 Li 0.808 0.353 0.592
Li29 Li 0.992 0.170 0.681
Li30 Li 0.692 0.853 0.408
Li31 Li 0.407 0.046 0.717
Li32 Li 0.008 0.830 0.319
O1 O 0.847 0.659 0.369
O2 O 0.355 0.981 0.140
O3 O 0.877 0.864 0.217
O4 O 0.855 0.519 0.140
O5 O 0.145 0.981 0.640
O6 O 0.263 0.122 0.479
O7 O 0.237 0.122 0.979
O8 O 0.153 0.841 0.869
O9 O 0.653 0.159 0.631
O10 O 0.377 0.136 0.283
O11 O 0.645 0.019 0.860
O12 O 0.347 0.841 0.369
O13 O 0.645 0.519 0.640
O14 O 0.355 0.481 0.360
O15 O 0.263 0.622 0.021
O16 O 0.847 0.159 0.131
O17 O 0.123 0.636 0.717
O18 O 0.737 0.378 0.979
O19 O 0.653 0.659 0.869
O20 O 0.377 0.636 0.217
O21 O 0.237 0.622 0.521
O22 O 0.347 0.341 0.131
O23 O 0.763 0.878 0.021
O24 O 0.877 0.364 0.283
O25 O 0.623 0.364 0.783
O26 O 0.153 0.341 0.631
O27 O 0.123 0.136 0.783
O28 O 0.855 0.019 0.360
O29 O 0.145 0.481 0.860
O30 O 0.763 0.378 0.479
O31 O 0.623 0.864 0.717
O32 O 0.737 0.878 0.521
Sr1 Sr 0.762 0.624 0.017
Sr2 Sr 0.262 0.376 0.483
Sr3 Sr 0.738 0.624 0.517
Sr4 Sr 0.238 0.876 0.517
Sr5 Sr 0.238 0.376 0.983
Sr6 Sr 0.762 0.124 0.483
Sr7 Sr 0.262 0.876 0.017
Sr8 Sr 0.738 0.124 0.983
Ni1 Ni 0.266 0.546 0.628
Ni2 Ni 0.734 0.454 0.372
Ni3 Ni 0.734 0.954 0.128
Ni4 Ni 0.766 0.954 0.628
Ni5 Ni 0.766 0.454 0.872
Ni6 Ni 0.234 0.046 0.372
Ni7 Ni 0.266 0.046 0.872
Ni8 Ni 0.234 0.546 0.128
```